P.
Below is LiCoC2O6 after structural relaxation, with properties calculated at the PBE+U level.

Structure (POSCAR):
```
LiCoC2O6
1.0
-2.2953 -3.6741 1.6160
5.6981 -0.5087 0.4700
1.5083 2.2707 7.6354
Li Co C O
2 2 4 12
Cartesian
0.0000 0.0000 0.0001
5.3047 -1.2103 5.0955
2.2589 -1.3069 7.1735
2.6523 -0.6052 2.5478
2.7555 -2.6888 4.6438
4.6571 0.2833 7.6538
0.2539 -2.1956 2.0679
2.1558 0.7770 5.0773
-0.3921 -3.1863 2.5755
1.5095 -0.2134 5.5850
3.0822 -2.1518 1.3006
2.6890 -2.8532 5.9261
4.4850 0.1067 2.2446
4.0910 -0.5950 6.8704
0.8197 -1.3171 2.8510
0.4267 -2.0187 7.4766
2.2224 0.9415 3.7950
1.8287 0.2395 8.4209
3.4015 -1.6982 4.1362
5.3035 1.2737 7.1461
```

Q.
Below is LiCoC2O6 after structural relaxation, with properties calculated at the PBE+U level.

Structure (POSCAR):
```
LiCoC2O6
1.0
1.2394 6.3433 -0.0429
3.7791 -1.9878 9.5985
9.0520 0.5220 1.2177
Li Co C O
4 4 8 24
Cartesian
3.4220 0.9907 0.8981
5.8832 3.1881 5.6835
10.4113 -0.1832 8.0149
9.1402 4.0528 3.1645
4.9875 4.0300 9.5070
5.7337 4.1333 1.5946
2.4551 1.8579 4.7093
6.9791 -0.0237 6.2878
3.0373 3.9765 0.8453
4.2274 -0.2032 5.6482
11.2680 4.1549 10.1623
8.7502 2.0536 5.3551
4.3714 2.1844 3.2655
6.8899 4.3684 8.0471
11.4277 0.8456 10.5124
10.1990 5.0459 5.6760
1.7918 4.4941 0.8781
2.9818 0.3117 5.6596
6.2413 5.8367 0.9768
7.5065 1.7105 5.7482
5.7367 -1.6686 9.3340
4.4466 2.4949 4.5106
7.5607 3.6292 1.9528
8.9321 -0.5505 6.7685
3.3130 1.4956 2.9109
5.8189 3.6885 7.6985
10.4728 0.9485 9.6632
9.1965 5.2098 4.8448
7.0434 0.9234 9.8416
5.6940 5.0712 5.0019
11.4754 4.4516 8.9693
8.9687 2.3363 4.1601
3.9308 4.6821 1.4941
5.1243 0.4781 6.3079
8.4160 6.1558 1.4922
9.6510 2.0752 6.2981
5.2747 2.4755 2.3994
7.7763 4.6775 7.1765
12.4395 0.0638 10.4018
11.1439 4.2154 5.4392
```

R.
Below is LiCoC2O6 after structural relaxation, with properties calculated at the PBE+U level.

Structure (POSCAR):
```
LiCoC2O6
1.0
2.4919 2.1880 4.7756
6.5607 -1.6239 -3.5559
0.0047 10.5106 -4.8429
Li Co C O
4 4 8 24
Cartesian
3.3470 1.0074 0.9143
4.6233 7.3875 0.8949
6.6817 1.8356 -1.5950
7.9284 8.2259 -1.6539
2.4577 12.4541 -0.0732
4.4777 8.3395 -3.3308
1.2050 6.0171 -0.0996
5.7293 4.1606 1.5277
2.9783 3.9589 0.8528
1.7053 8.1734 -3.9724
5.0088 4.0336 -4.2128
6.3266 10.3763 -4.2377
4.3520 2.2169 3.3038
3.1410 6.3812 -1.5018
7.6598 2.8595 0.8573
6.4305 7.0396 -3.9419
1.7271 4.4719 0.8564
0.4631 8.6951 -3.9379
3.7616 3.6976 -3.8187
5.0808 10.0707 -3.8324
1.8007 0.3211 -0.1958
3.1763 6.6766 -0.2483
5.2178 1.4056 -2.8636
6.4468 7.7778 -2.8884
3.3666 1.5276 2.8532
2.1100 5.6658 -1.8835
6.6116 3.0322 0.0882
5.4014 7.2167 -4.7391
3.2079 2.8919 0.2457
4.3969 9.2549 0.2639
7.7226 6.4833 -0.6369
6.5655 0.0949 -0.5950
3.8654 4.6413 1.5193
2.6410 8.8712 -3.3711
5.9062 4.0758 -3.2661
7.2139 10.4162 -3.2719
5.3585 2.6004 2.6087
4.0452 6.7390 -2.3355
8.5842 2.0307 0.5227
7.3504 6.1952 -4.2255
```

Relative stability in meV per atom, measured from the most stable structure: P 0; Q 60; R 52

P.
Below is SrLaFeCoO6 after structural relaxation, with properties calculated at the PBE+U level.

Structure (POSCAR):
```
SrLaFeCoO6
1.0
-4.8270 1.8189 -1.9131
-2.0800 -8.7764 -3.0962
-3.9871 1.4317 3.5104
Sr La Fe Co O
2 2 2 2 12
Cartesian
-5.9922 -1.3190 -1.9567
-4.6334 -6.6576 -2.5498
-4.9147 -4.2422 0.4562
-6.2435 1.1697 1.0435
-7.1710 -4.4953 -2.0022
-3.7183 -1.0201 0.5012
-7.4309 -2.0220 1.0050
-3.9886 1.4252 3.5078
-7.9928 -0.6341 -0.1966
-6.6088 -5.9602 -0.7684
-4.2900 0.4344 -0.7250
-2.9083 -4.8995 -1.3061
-5.5893 -1.5397 0.7560
-9.0771 -5.0301 -1.7466
-1.8179 -0.4972 0.2548
-5.3032 -3.9971 -2.2553
-7.3120 -3.2757 -0.4868
-3.8566 0.2332 2.0416
-3.5862 -2.2576 -1.0089
-7.0397 -5.7630 -3.5386
```

Q.
Below is SrLaFeCoO6 after structural relaxation, with properties calculated at the PBE+U level.

Structure (POSCAR):
```
SrLaFeCoO6
1.0
5.5434 0.0227 -0.0321
0.0000 6.3132 4.4641
-0.0394 -3.2021 4.5284
Sr La Fe Co O
2 2 2 2 12
Cartesian
-0.0197 3.1363 5.6143
2.7717 1.5867 1.0981
-0.0196 -0.0246 3.3798
2.7718 4.7438 3.3315
0.0001 3.1564 2.2321
2.7520 4.7230 6.7118
5.5435 6.3358 4.4321
2.7520 1.5664 4.4799
2.7521 -0.0174 3.3598
-0.0393 1.5924 7.9185
2.7521 3.1516 5.6003
5.5040 -1.6599 5.5704
4.1110 -2.3733 3.3578
1.4106 2.3450 3.3820
1.3932 -0.8048 1.1391
4.0937 0.7907 5.5796
1.3699 -2.3867 3.3766
4.1562 2.3798 3.3321
4.1340 -0.7916 1.1200
1.3476 0.7552 5.6287
```

Relative stability in meV per atom, measured from the most stable structure: P 0; Q 12

P.
Below is MgV2O5 after structural relaxation, with properties calculated at the PBE+U level.

Structure (POSCAR):
```
MgV2O5
1.0
4.0930 2.8236 -2.1746
-4.4505 -2.7025 -1.5310
-6.0220 9.4139 0.8885
Mg V O
2 4 10
Cartesian
-8.0393 4.9580 -0.9345
1.6598 4.5770 -1.8826
-1.2250 7.3411 -1.5140
-5.1545 2.1939 -1.3031
-3.3225 -0.6701 -1.5734
-3.0570 10.2050 -1.2437
-3.3591 1.3307 -1.5045
-3.0204 8.2043 -1.3126
1.6144 2.2504 -1.9542
-7.9939 7.2846 -0.8629
-5.9150 4.0348 -1.1696
-0.4645 5.5002 -1.6475
-0.0394 8.5070 -1.5903
-6.3401 1.0279 -1.2268
-1.5103 10.8063 -1.3732
-4.8692 -1.2714 -1.4439
```

Q.
Below is MgV2O5 after structural relaxation, with properties calculated at the PBE+U level.

Structure (POSCAR):
```
MgV2O5
1.0
-1.9114 2.3571 1.6004
-3.5658 -3.3066 0.6112
4.6452 -3.1313 10.1598
Mg V O
2 4 10
Cartesian
-3.3663 -1.0568 1.2134
1.1673 -2.6369 5.2779
3.5653 -3.0130 8.6959
-1.1191 -3.8121 7.9553
-2.5174 -2.8694 4.8968
0.3185 -0.8243 1.5945
1.1007 -0.6340 5.9257
-3.2997 -3.0598 0.5656
-0.4528 -4.4918 9.7521
2.8991 -2.3333 6.8991
-3.4717 -2.4568 3.1494
1.2727 -1.2370 3.3419
-1.0345 -1.8153 1.4381
-1.1645 -1.8784 5.0532
-0.0953 -2.5991 7.3915
2.5416 -4.2260 9.2596
```

Relative stability in meV per atom, measured from the most stable structure: P 0; Q 75

P.
Below is Li2FeP2O8 after structural relaxation, with properties calculated at the PBE+U level.

Structure (POSCAR):
```
Li2FeP2O8
1.0
4.9288 -0.0002 -0.0010
-2.4645 4.2661 0.0019
-0.0019 0.0020 7.3263
Li Fe P O
2 1 2 8
Cartesian
-0.0019 2.8460 5.1103
2.4648 1.4208 2.2176
-0.0020 0.0022 7.3258
0.0014 2.8429 1.6727
2.4607 1.4251 5.6563
-1.4760 2.9450 1.1962
-0.0020 2.8413 3.2089
0.6500 1.5165 1.1951
0.8259 4.0707 1.1970
1.6367 0.1973 6.1303
1.8124 2.7512 6.1328
2.4624 1.4277 4.1162
3.9382 1.3227 6.1304
```

Q.
Below is Li2FeP2O8 after structural relaxation, with properties calculated at the PBE+U level.

Structure (POSCAR):
```
Li2FeP2O8
1.0
-6.8246 3.6164 -3.3350
-6.0348 -5.5408 6.3410
2.3027 4.9935 6.5548
Li Fe P O
8 4 8 32
Cartesian
-2.9151 2.5326 2.2849
-0.5321 2.9340 4.5421
-10.0245 0.1351 5.0188
-7.3151 3.4339 1.6553
-3.2415 -0.3648 7.9055
-5.1899 3.5986 4.1834
-7.6415 0.5365 7.2759
-5.3667 -0.5295 5.3775
-2.7580 4.1472 6.6839
-7.7986 -1.0781 2.8770
-5.4228 -3.8378 5.6335
-5.1339 6.9069 3.9274
-9.6034 1.3405 2.1521
-10.4506 2.0208 7.3148
-8.0266 -2.1529 5.7482
-5.0413 2.0461 6.8840
-5.5154 1.0230 2.6769
-2.5300 5.2220 3.8127
-0.1061 1.0483 2.2460
-0.9532 1.7287 7.4088
-6.2163 4.1299 0.1595
-6.2403 5.4397 4.4690
-1.0240 1.5129 5.8908
-1.8131 4.5633 5.0701
-3.0383 2.9164 0.4000
-6.4943 1.9027 6.4117
-4.3754 0.6845 6.6499
-1.5773 3.1370 7.7426
-3.3701 6.4322 4.3734
-8.9379 2.4408 1.3461
-9.5551 0.8700 6.8395
-4.3171 3.1825 6.0512
-8.9793 -0.0679 1.8182
-7.1866 -3.3631 5.1874
-0.9485 -0.0360 1.5006
-1.6187 0.6283 8.2147
1.3396 3.4349 5.3604
-4.0623 1.1665 3.1492
-5.6420 0.5958 1.1793
-9.6081 3.1051 8.0603
-11.8962 -0.3658 4.2005
-8.7435 -1.4942 4.4908
-4.3163 -2.3706 5.0918
-6.1812 2.3846 2.9109
-9.5326 1.5562 3.6700
-1.0016 2.1991 2.7213
-4.9146 2.4733 8.3815
-7.5184 0.1528 9.1608
-4.3403 -1.0608 9.4013
-6.2396 -0.1134 3.5097
-3.5008 4.1800 3.2404
-7.0558 -1.1109 6.3205
```

R.
Below is Li2FeP2O8 after structural relaxation, with properties calculated at the PBE+U level.

Structure (POSCAR):
```
Li2FeP2O8
1.0
8.0398 0.0000 0.0000
0.0000 5.1357 0.0000
0.0000 4.7496 7.5826
Li Fe P O
4 2 4 16
Cartesian
5.1348 4.3487 6.8585
1.1149 7.9113 4.5154
6.9250 1.9740 3.0672
2.9050 5.5365 0.7241
0.0000 0.0000 0.0000
4.0199 2.3748 3.7913
6.4658 7.2493 6.1186
2.4459 5.0108 5.2553
5.5940 4.8745 2.3273
1.5741 2.6360 1.4640
1.1558 1.5496 0.4278
6.4958 5.8599 6.8117
3.4263 5.0489 6.4319
5.0365 7.6292 5.6502
1.0166 4.6309 5.7238
7.4462 7.2111 4.9420
2.4759 6.4001 4.5623
5.1757 5.9608 3.3636
2.8641 3.9244 4.2191
5.5640 3.4851 3.0204
0.5936 2.6741 2.6406
7.0233 5.2544 1.8588
3.0034 2.2561 1.9325
4.6135 4.8363 1.1507
1.5440 4.0254 0.7709
6.8841 8.3356 7.1549
```

Relative stability in meV per atom, measured from the most stable structure: P 14; Q 54; R 0